# 1
# Li7Mn2Co3O12

Li7Mn2Co3O12 after structural relaxation (PBE with a Hubbard U, the Materials Project).

Crystal system: monoclinic
Symmetry: P2/m
Formation energy (meV per atom): -1900.6
Mass density (g/cm3): 4.079
Size of the total moment (μB per formula unit): 6.0

Lattice parameters (Å, degrees): 5.903 2.916 12.793 90.00 102.97 90.00
Element x y z (fractional)
1 Li 0.000 0.000 0.000
2 Li 0.000 0.500 0.500
3 Li 0.167 0.000 0.334
4 Li 0.320 0.500 0.152
5 Li 0.500 0.000 0.000
6 Li 0.680 0.500 0.848
7 Li 0.833 0.000 0.666
8 Mn 0.165 0.500 0.841
9 Mn 0.835 0.500 0.159
10 Co 0.331 0.000 0.666
11 Co 0.500 0.500 0.500
12 Co 0.669 0.000 0.334
13 O 0.056 0.000 0.168
14 O 0.106 0.500 0.675
15 O 0.244 0.500 0.986
16 O 0.261 0.000 0.503
17 O 0.389 0.000 0.831
18 O 0.436 0.500 0.338
19 O 0.564 0.500 0.662
20 O 0.611 0.000 0.169
21 O 0.739 0.000 0.497
22 O 0.756 0.500 0.014
23 O 0.894 0.500 0.325
24 O 0.944 0.000 0.832

# 2
# Li4MnCo2O7

Li4MnCo2O7 after structural relaxation (PBE with a Hubbard U, the Materials Project).

Crystal system: monoclinic
Symmetry: C2/m
Formation energy (meV per atom): -1827.4
Mass density (g/cm3): 4.114
Size of the total moment (μB per formula unit): 10.7

Lattice parameters (Å, degrees): 7.779 7.779 12.918 118.02 118.02 21.57
Element x y z (fractional)
1 Li 0.000 0.000 0.000
2 Li 0.073 0.073 0.348
3 Li 0.213 0.213 0.070
4 Li 0.372 0.372 0.805
5 Li 0.500 0.500 0.500
6 Li 0.628 0.628 0.195
7 Li 0.787 0.787 0.930
8 Li 0.927 0.927 0.652
9 Mn 0.141 0.141 0.716
10 Mn 0.859 0.859 0.284
11 Co 0.284 0.284 0.428
12 Co 0.431 0.431 0.126
13 Co 0.569 0.569 0.874
14 Co 0.716 0.716 0.572
15 O 0.032 0.032 0.180
16 O 0.116 0.116 0.548
17 O 0.168 0.168 0.874
18 O 0.264 0.264 0.256
19 O 0.313 0.313 0.600
20 O 0.390 0.390 0.971
21 O 0.454 0.454 0.321
22 O 0.546 0.546 0.679
23 O 0.610 0.610 0.029
24 O 0.687 0.687 0.400
25 O 0.736 0.736 0.744
26 O 0.832 0.832 0.126
27 O 0.884 0.884 0.452
28 O 0.968 0.968 0.820

# 3
# Li7Mn4CoO12

Li7Mn4CoO12 after structural relaxation (PBE with a Hubbard U, the Materials Project).

Crystal system: triclinic
Symmetry: P1
Formation energy (meV per atom): -2056.5
Mass density (g/cm3): 3.960
Size of the total moment (μB per formula unit): 14.0

Lattice parameters (Å, degrees): 5.045 6.482 6.822 84.21 80.47 83.30
Element x y z (fractional)
1 Li 0.000 0.000 0.000
2 Li 0.003 0.319 0.667
3 Li 0.501 0.490 0.492
4 Li 0.508 0.162 0.828
5 Li 0.518 0.834 0.187
6 Li 0.754 0.078 0.420
7 Li 0.994 0.667 0.338
8 Mn 0.252 0.578 0.922
9 Mn 0.256 0.918 0.573
10 Mn 0.754 0.751 0.741
11 Mn 0.759 0.406 0.096
12 Co 0.264 0.240 0.262
13 O 0.113 0.641 0.622
14 O 0.114 0.304 0.964
15 O 0.150 0.967 0.314
16 O 0.367 0.191 0.545
17 O 0.377 0.859 0.851
18 O 0.402 0.514 0.212
19 O 0.601 0.792 0.467
20 O 0.617 0.141 0.125
21 O 0.628 0.466 0.821
22 O 0.892 0.685 0.046
23 O 0.893 0.364 0.344
24 O 0.894 0.019 0.709